(w)
## Li4Co3O7 (GGA+U)

Data for a relaxed structure of Li4Co3O7.

Cell lengths 9.8385, 9.8385, 9.7399 Å; angles 63.95, 63.95, 17.23 degrees
Closest atoms and distances in Å follow each position.
Atoms (fractional coordinates):
Li (0.4306, 0.4306, 0.7802)  6 O 2.06-2.16
Li (0.1405, 0.1405, 0.9282)  6 O 2.14-2.24
Li (0.8595, 0.8595, 0.0718)  6 O 2.14-2.24
Li (0.5694, 0.5694, 0.2198)  6 O 2.06-2.16
Li (0.2899, 0.2899, 0.3518)  5 O 1.99-2.14
Li (0.0000, 0.0000, 0.5000)  6 O 2.05-2.16
Li (0.7101, 0.7101, 0.6482)  5 O 1.99-2.14
Li (0.5000, 0.5000, 0.0000)  6 O 2.02-2.12
Co (0.0685, 0.0685, 0.7260)  2 O 1.73-1.93
Co (0.9315, 0.9315, 0.2740)  2 O 1.73-1.93
Co (0.7871, 0.7871, 0.8554)  6 O 2.01-2.07
Co (0.2129, 0.2129, 0.1446)  6 O 2.01-2.07
Co (0.6403, 0.6403, 0.4322)  6 O 1.93-2.07
Co (0.3597, 0.3597, 0.5678)  6 O 1.93-2.07
O (0.5410, 0.5410, 0.6073)  3 Co 1.93-2.08, 3 Li 2.06-2.16
O (0.2562, 0.2562, 0.7442)  3 Co 1.98-2.07, 3 Li 2.14-2.17
O (0.9756, 0.9756, 0.8713)  1 Co 1.73
O (0.6816, 0.6816, 0.0387)  3 Co 2.04, 3 Li 2.11-2.18
O (0.3965, 0.3965, 0.1840)  2 Co 1.98, 4 Li 1.99-2.14
O (0.1099, 0.1099, 0.3284)  3 Co 2.01-2.02, 3 Li 2.05-2.16
O (0.8325, 0.8325, 0.4509)  3 Co 1.93-2.07, 2 Li 2.12
O (0.3184, 0.3184, 0.9613)  3 Co 2.04, 3 Li 2.11-2.18
O (0.0244, 0.0244, 0.1287)  1 Co 1.73
O (0.7438, 0.7438, 0.2558)  3 Co 1.98-2.07, 3 Li 2.14-2.17
O (0.4590, 0.4590, 0.3927)  3 Co 1.93-2.08, 3 Li 2.06-2.16
O (0.1675, 0.1675, 0.5491)  3 Co 1.93-2.07, 2 Li 2.12
O (0.8901, 0.8901, 0.6716)  3 Co 2.01-2.02, 3 Li 2.05-2.16
O (0.6035, 0.6035, 0.8160)  2 Co 1.98, 4 Li 1.99-2.14

(x)
## Li4Co3O7 (GGA+U)

Data for a relaxed structure of Li4Co3O7.

Cell lengths 16.6630, 16.6630, 5.0403 Å; angles 89.75, 89.75, 10.34 degrees
Closest atoms and distances in Å follow each position.
Atoms (fractional coordinates):
Li (0.9284, 0.9284, 0.1470)  6 O 2.01-2.18
Li (0.3573, 0.3573, 0.2867)  6 O 2.08-2.16
Li (0.7857, 0.7857, 0.4285)  6 O 2.09-2.16
Li (0.2143, 0.2143, 0.5715)  6 O 2.09-2.16
Li (0.6427, 0.6427, 0.7133)  6 O 2.08-2.16
Li (0.5000, 0.5000, 0.0000)  6 O 2.19-2.22
Li (0.0716, 0.0716, 0.8530)  6 O 2.01-2.18
Li (0.0000, 0.0000, 0.5000)  6 O 2.02-2.13
Co (0.4317, 0.4317, 0.6434)  2 O 1.73-1.91
Co (0.5683, 0.5683, 0.3566)  2 O 1.73-1.91
Co (0.8579, 0.8579, 0.7798)  6 O 1.89-2.09
Co (0.2861, 0.2861, 0.9293)  6 O 1.92-2.09
Co (0.7139, 0.7139, 0.0707)  6 O 1.92-2.09
Co (0.1421, 0.1421, 0.2202)  6 O 1.89-2.09
O (0.9616, 0.9616, 0.8125)  2 Co 1.99, 4 Li 2.01-2.19
O (0.3941, 0.3941, 0.9310)  3 Co 1.91-2.07
O (0.8224, 0.8224, 0.0868)  3 Co 1.94-2.08, 3 Li 2.10-2.15
O (0.2502, 0.2502, 0.2303)  3 Co 1.93-2.09, 1 Li 2.09
O (0.6788, 0.6788, 0.3750)  3 Co 1.92-2.09, 1 Li 2.08
O (0.5398, 0.5398, 0.6447)  1 Co 1.73
O (0.1071, 0.1071, 0.5170)  1 Co 1.89, 1 Li 2.06
O (0.8929, 0.8929, 0.4830)  1 Co 1.89, 1 Li 2.06
O (0.3212, 0.3212, 0.6250)  3 Co 1.92-2.09, 1 Li 2.08
O (0.7498, 0.7498, 0.7697)  3 Co 1.93-2.09, 1 Li 2.09
O (0.1776, 0.1776, 0.9132)  3 Co 1.94-2.08, 3 Li 2.10-2.15
O (0.6059, 0.6059, 0.0690)  3 Co 1.91-2.07
O (0.4602, 0.4602, 0.3553)  1 Co 1.73
O (0.0384, 0.0384, 0.1875)  2 Co 1.99, 4 Li 2.01-2.19

It is (w) that is most stable; the runner-up trails by 0.051 eV/atom.

(w)
## Mn2F7 (GGA+U)

Data for a relaxed structure of Mn2F7.

Cell lengths 5.6213, 5.6213, 9.9867 Å; angles 84.09, 84.09, 124.61 degrees
Closest atoms and distances in Å follow each position.
Atoms (fractional coordinates):
Mn (0.8197, 0.7505, 0.4256)  5 F 1.76-1.95
Mn (0.2495, 0.1803, 0.0744)  5 F 1.76-1.95
Mn (0.7505, 0.8197, 0.9256)  5 F 1.76-1.95
Mn (0.1803, 0.2495, 0.5744)  5 F 1.76-1.95
F (0.5757, 0.4462, 0.6020)  2 Mn 1.91-2.03
F (0.9816, 0.0184, 0.2500)  2 Mn 1.93
F (0.0284, 0.8006, 0.0174)  2 Mn 1.94-1.95
F (0.5538, 0.4243, 0.8980)  2 Mn 1.91-2.03
F (0.5153, 0.8861, 0.8546)  1 Mn 1.76
F (0.8861, 0.5153, 0.3546)  1 Mn 1.76
F (0.8006, 0.0284, 0.5174)  2 Mn 1.94-1.95
F (0.1994, 0.9716, 0.4826)  2 Mn 1.94-1.95
F (0.1139, 0.4847, 0.6454)  1 Mn 1.76
F (0.4847, 0.1139, 0.1454)  1 Mn 1.76
F (0.4462, 0.5757, 0.1020)  2 Mn 1.91-2.03
F (0.9716, 0.1994, 0.9826)  2 Mn 1.94-1.95
F (0.0184, 0.9816, 0.7500)  2 Mn 1.93
F (0.4243, 0.5538, 0.3980)  2 Mn 1.91-2.03

(x)
## Mn2F7 (GGA+U)

Data for a relaxed structure of Mn2F7.

Cell lengths 5.2100, 7.3695, 13.0685 Å; angles 81.76, 90.00, 90.00 degrees
Closest atoms and distances in Å follow each position.
Atoms (fractional coordinates):
Mn (0.7662, 0.9744, 0.1090)  5 F 1.86-2.06
Mn (0.2636, 0.9213, 0.3205)  5 F 1.74-1.94
Mn (0.7700, 0.5790, 0.6798)  5 F 1.74-1.94
Mn (0.2563, 0.5256, 0.8901)  5 F 1.86-2.05
Mn (0.7563, 0.4744, 0.1099)  5 F 1.86-2.05
Mn (0.2700, 0.4210, 0.3202)  5 F 1.74-1.94
Mn (0.7636, 0.0787, 0.6795)  5 F 1.74-1.94
Mn (0.2662, 0.0256, 0.8910)  5 F 1.86-2.06
F (0.9429, 0.9965, 0.8037)  2 Mn 1.89-2.06
F (0.5401, 0.9457, 0.3926)  1 Mn 1.74
F (0.6581, 0.8296, 0.6788)  2 Mn 1.92-1.94
F (0.3652, 0.7772, 0.8829)  2 Mn 1.92-1.93
F (0.0686, 0.8439, 0.4266)  1 Mn 1.75
F (0.0790, 0.9462, 0.0104)  1 Mn 1.86
F (0.9635, 0.8907, 0.2284)  2 Mn 1.90-2.01
F (0.9499, 0.5922, 0.8140)  2 Mn 1.91-2.00
F (0.0617, 0.6451, 0.6193)  1 Mn 1.75
F (0.6562, 0.7270, 0.0992)  2 Mn 1.92-1.93
F (0.3676, 0.6752, 0.3033)  2 Mn 1.92-1.94
F (0.5995, 0.5653, 0.5664)  1 Mn 1.74
F (0.4745, 0.5084, 0.7609)  2 Mn 1.90-2.05
F (0.5380, 0.4585, 0.9744)  1 Mn 1.86
F (0.0380, 0.5415, 0.0256)  1 Mn 1.86
F (0.9745, 0.4916, 0.2391)  2 Mn 1.90-2.05
F (0.0995, 0.4347, 0.4336)  1 Mn 1.74
F (0.8676, 0.3248, 0.6967)  2 Mn 1.92-1.94
F (0.1562, 0.2730, 0.9008)  2 Mn 1.92-1.93
F (0.5617, 0.3549, 0.3807)  1 Mn 1.75
F (0.4499, 0.4078, 0.1860)  2 Mn 1.91-2.00
F (0.4635, 0.1093, 0.7716)  2 Mn 1.90-2.01
F (0.5790, 0.0538, 0.9896)  1 Mn 1.86
F (0.5686, 0.1561, 0.5734)  1 Mn 1.75
F (0.8652, 0.2228, 0.1171)  2 Mn 1.92-1.93
F (0.1581, 0.1704, 0.3212)  2 Mn 1.92-1.94
F (0.0401, 0.0543, 0.6074)  1 Mn 1.74
F (0.4429, 0.0035, 0.1963)  2 Mn 1.89-2.06

It is (x) that is most stable; the runner-up trails by 0.040 eV/atom.